[1]
# Na3Th10BeF45, optimized geometry, DFT PBE-GGA
data_Na3Th10BeF45
_chemical_formula_sum 'Na12 Th40 Be4 F180'
_space_group_name_H-M_alt 'P 42/n c m'
_space_group_IT_number 138
_cell_length_a 11.951
_cell_length_b 11.951
_cell_length_c 23.668
_cell_angle_alpha 90.00
_cell_angle_beta 90.00
_cell_angle_gamma 90.00
loop_
_space_group_symop_operation_xyz
'x,y,z'
'-x,-y,-z'
'-y+1/2,x,z+1/2'
'y+1/2,-x,-z+1/2'
'-x+1/2,-y+1/2,z'
'x+1/2,y+1/2,-z'
'y,-x+1/2,z+1/2'
'-y,x+1/2,-z+1/2'
'x+1/2,-y,-z+1/2'
'-x+1/2,y,z+1/2'
'-y,-x,-z'
'y,x,z'
'-x,y+1/2,-z+1/2'
'x,-y+1/2,z+1/2'
'y+1/2,x+1/2,-z'
'-y+1/2,-x+1/2,z'
loop_
_atom_site_label
_atom_site_fract_x
_atom_site_fract_y
_atom_site_fract_z
_atom_site_occupancy
Na1 0.085 0.085 0.199 1
Na2 0.250 0.250 0.446 1
Th1 0.016 0.742 0.952 1
Th2 0.019 0.745 0.647 1
Th3 0.106 0.106 0.700 1
Be1 0.250 0.750 0.250 1
F1 0.033 0.245 0.950 1
F2 0.047 0.047 0.794 1
F3 0.057 0.243 0.260 1
F4 0.059 0.059 0.599 1
F5 0.060 0.242 0.140 1
F6 0.080 0.586 0.193 1
F7 0.089 0.589 0.000 1
F8 0.093 0.605 0.394 1
F9 0.102 0.102 0.039 1
F10 0.116 0.116 0.366 1
F11 0.158 0.158 0.867 1
F12 0.160 0.660 0.500 1
F13 0.163 0.693 0.710 1
F14 0.165 0.665 0.098 1
F15 0.166 0.166 0.528 1
F16 0.250 0.250 0.201 1
# * formation energy from the elements: -4.30 eV per atom
# * crystal system: tetragonal
# * final energy: -0.250 hartree per atom

[2]
# ZnSb2O4, optimized geometry, DFT PBE-GGA
data_ZnSb2O4
_chemical_formula_sum 'Zn4 Sb8 O16'
_space_group_name_H-M_alt 'P b c m'
_space_group_IT_number 57
_space_group_name_Hall '-P 2c 2b'
_cell_length_a 3.644
_cell_length_b 10.045
_cell_length_c 11.184
_cell_angle_alpha 90.00
_cell_angle_beta 90.00
_cell_angle_gamma 90.00
loop_
_atom_site_label
_atom_site_fract_x
_atom_site_fract_y
_atom_site_fract_z
_atom_site_occupancy
Zn1 0.155 0.142 0.250 1
Sb1 0.415 0.126 0.595 1
O1 0.264 0.750 0.000 1
O2 0.266 0.037 0.100 1
O3 0.332 0.741 0.750 1
# * formation energy from the elements: -1.54 eV per atom
# * crystal system: orthorhombic
# * final energy: -0.196 hartree per atom
# * energy relative to the lowest polymorph listed for this composition: 4.86 kcal/mol of atoms

[3]
# Na4Ca2La2SiS5O24, optimized geometry, DFT PBE-GGA
data_Na4Ca2La2SiS5O24
_chemical_formula_sum 'Na12 Ca6 La6 Si3 S15 O72'
_space_group_name_H-M_alt 'P 1'
_space_group_IT_number 1
_space_group_name_Hall 'P 1'
_cell_length_a 9.426
_cell_length_b 9.471
_cell_length_c 24.565
_cell_angle_alpha 89.45
_cell_angle_beta 89.77
_cell_angle_gamma 60.18
loop_
_atom_site_label
_atom_site_fract_x
_atom_site_fract_y
_atom_site_fract_z
_atom_site_occupancy
Na1 0.000 0.000 0.000 1
Na2 0.006 0.685 0.565 1
Na3 0.013 0.684 0.084 1
Na4 0.304 0.357 0.660 1
Na5 0.336 0.044 0.740 1
Na6 0.343 0.394 0.991 1
Na7 0.353 0.034 0.243 1
Na8 0.364 0.671 0.830 1
Na9 0.640 0.387 0.909 1
Na10 0.662 0.699 0.311 1
Na11 0.678 0.327 0.399 1
Na12 0.710 0.011 0.473 1
Ca1 0.006 0.681 0.720 1
Ca2 0.010 0.689 0.418 1
Ca3 0.334 0.011 0.585 1
Ca4 0.661 0.375 0.058 1
Ca5 0.679 0.359 0.555 1
Ca6 0.999 0.701 0.224 1
La1 0.013 0.673 0.916 1
La2 0.334 0.027 0.388 1
La3 0.347 0.022 0.886 1
La4 0.351 0.992 0.089 1
La5 0.670 0.327 0.256 1
La6 0.675 0.344 0.751 1
Si1 0.316 0.378 0.816 1
Si2 0.339 0.711 0.981 1
Si3 0.704 0.980 0.328 1
S1 0.001 0.396 0.320 1
S2 0.011 0.981 0.819 1
S3 0.028 0.017 0.490 1
S4 0.037 0.313 0.990 1
S5 0.311 0.685 0.320 1
S6 0.345 0.321 0.493 1
S7 0.358 0.358 0.149 1
S8 0.369 0.653 0.653 1
S9 0.644 0.719 0.488 1
S10 0.649 0.030 0.990 1
S11 0.667 0.049 0.648 1
S12 0.687 0.648 0.158 1
S13 0.697 0.686 0.817 1
S14 0.971 0.044 0.149 1
S15 0.986 0.351 0.651 1
O1 0.005 0.500 0.652 1
O2 0.008 0.881 0.774 1
O3 0.010 0.868 0.489 1
O4 0.014 0.480 0.986 1
O5 0.020 0.473 0.270 1
O6 0.108 0.029 0.439 1
O7 0.116 0.221 0.939 1
O8 0.123 0.011 0.538 1
O9 0.137 0.029 0.151 1
O10 0.137 0.224 0.322 1
O11 0.146 0.231 0.037 1
O12 0.155 0.207 0.649 1
O13 0.168 0.697 0.984 1
O14 0.171 0.979 0.818 1
O15 0.196 0.507 0.153 1
O16 0.203 0.486 0.487 1
O17 0.207 0.658 0.654 1
O18 0.215 0.472 0.761 1
O19 0.222 0.688 0.270 1
O20 0.227 0.480 0.873 1
O21 0.232 0.669 0.370 1
O22 0.314 0.841 0.030 1
O23 0.326 0.836 0.322 1
O24 0.327 0.242 0.544 1
O25 0.340 0.210 0.150 1
O26 0.342 0.192 0.819 1
O27 0.346 0.793 0.922 1
O28 0.346 0.818 0.647 1
O29 0.361 0.217 0.445 1
O30 0.441 0.364 0.098 1
O31 0.457 0.582 0.706 1
O32 0.460 0.346 0.197 1
O33 0.466 0.542 0.608 1
O34 0.485 0.545 0.318 1
O35 0.494 0.378 0.817 1
O36 0.495 0.528 0.988 1
O37 0.501 0.325 0.495 1
O38 0.510 0.045 0.646 1
O39 0.518 0.993 0.325 1
O40 0.527 0.828 0.815 1
O41 0.538 0.815 0.157 1
O42 0.549 0.826 0.534 1
O43 0.550 0.050 0.940 1
O44 0.554 0.792 0.436 1
O45 0.563 0.013 0.038 1
O46 0.650 0.151 0.697 1
O47 0.666 0.177 0.994 1
O48 0.666 0.553 0.494 1
O49 0.676 0.168 0.322 1
O50 0.677 0.566 0.209 1
O51 0.682 0.537 0.816 1
O52 0.684 0.130 0.599 1
O53 0.684 0.558 0.109 1
O54 0.777 0.686 0.869 1
O55 0.787 0.906 0.387 1
O56 0.789 0.695 0.770 1
O57 0.801 0.861 0.277 1
O58 0.807 0.711 0.487 1
O59 0.809 0.884 0.655 1
O60 0.815 0.884 0.986 1
O61 0.834 0.665 0.156 1
O62 0.840 0.397 0.318 1
O63 0.858 0.161 0.492 1
O64 0.875 0.151 0.815 1
O65 0.878 0.143 0.197 1
O66 0.879 0.317 0.996 1
O67 0.888 0.127 0.097 1
O68 0.888 0.358 0.604 1
O69 0.906 0.340 0.702 1
O70 0.989 0.880 0.152 1
O71 0.994 0.914 0.872 1
O72 0.999 0.485 0.369 1
# * formation energy from the elements: -2.61 eV per atom
# * crystal system: triclinic
# * final energy: -0.239 hartree per atom

Number 1: spin magnetization 0.0 μB per cell. Number 2: spin magnetization 0.0 μB per cell. Number 3: spin magnetization 0.0 μB per cell.